(1)
BaTiMnBiO6 | Materials Project | PBE+U | relaxed; electronic total energy = -0.26355 Ha/atom
1.0
0.0000 3.9964 3.9964
3.9964 0.0000 3.9964
3.9964 3.9964 0.0000
Ba Ti Mn Bi O
1 1 1 1 6
Cartesian
0.0000 0.0000 0.0000
5.9947 5.9947 5.9947
1.9982 1.9982 1.9982
3.9964 3.9964 3.9964
5.9947 5.9947 4.0241
5.9947 4.0241 5.9947
7.9652 5.9947 5.9947
4.0241 5.9947 5.9947
5.9947 7.9652 5.9947
5.9947 5.9947 7.9652



(2)
BaSrNiBiO6 | Materials Project | PBE+U | relaxed; electronic total energy = -0.20511 Ha/atom
1.0
0.0000 4.1421 4.1421
4.1421 0.0000 4.1421
4.1421 4.1421 0.0000
Ba Sr Ni Bi O
1 1 1 1 6
Cartesian
0.0000 0.0000 0.0000
4.1421 4.1421 4.1421
2.0710 2.0710 2.0710
6.2131 6.2131 6.2131
2.0710 2.0710 0.0419
2.0710 0.0419 2.0710
4.1001 2.0710 2.0710
0.0419 2.0710 2.0710
2.0710 4.1001 2.0710
2.0710 2.0710 4.1001



(3)
Ba2V2BiPO11 | Materials Project | PBE+U | relaxed; electronic total energy = -0.26214 Ha/atom
1.0
12.4596 0.0000 0.0000
0.0000 7.8306 0.0000
-2.4623 0.0000 10.8099
Ba V Bi P O
8 8 4 4 44
Cartesian
-0.2773 1.9419 4.2071
-1.5085 1.9734 9.6121
1.1249 5.7428 10.2137
2.3560 6.0031 4.8087
7.6412 1.8275 6.0012
8.8724 2.0878 0.5963
11.5057 5.8572 1.1979
10.2745 5.8887 6.6028
1.8750 0.1399 1.8871
0.6438 3.7754 7.2921
0.6914 0.1447 7.2459
1.9225 3.7706 1.8410
8.0747 4.0600 8.9690
9.3059 7.6859 3.5640
9.3534 4.0552 3.5178
8.1222 7.6907 8.9228
4.4136 3.9266 7.8950
5.6447 7.8193 2.4900
4.3525 0.0113 8.3199
5.5837 3.9040 2.9150
3.8760 1.9404 5.1535
2.6449 1.9749 10.5585
7.3524 5.8557 0.2515
6.1212 5.8902 5.6564
-0.5464 4.3726 8.3501
0.6847 7.3733 2.9451
1.3209 4.3864 0.3762
0.0897 7.3595 5.7812
0.2350 4.3476 5.7499
1.4662 7.3984 0.3449
0.9039 4.3671 3.0551
-0.3273 7.3788 8.4601
1.6976 1.9555 1.8233
0.4664 1.9598 7.2283
2.6645 1.0685 4.8818
1.4333 2.8468 10.2868
2.1744 4.4522 7.7772
3.4056 7.2937 2.3722
3.5230 4.4206 2.0622
2.2919 7.3253 7.4672
2.3696 0.4594 10.5154
3.6007 3.4559 5.1105
5.0597 1.6630 4.0982
3.8286 2.2523 9.5032
4.5215 1.6430 6.5966
5.7527 2.2723 1.1917
4.2445 5.5583 9.6182
5.4757 6.1876 4.2133
6.1687 5.5783 1.3068
4.9375 6.1676 6.7117
6.3965 4.3747 5.6994
7.6277 7.3712 0.2945
7.7054 0.5053 3.3428
6.4742 3.4100 8.7477
6.5916 0.5369 8.4377
7.8228 3.3784 3.0327
8.5639 4.9838 0.5231
7.3328 6.7621 5.9281
9.5308 5.8708 3.5816
8.2997 5.8751 8.9866
10.3245 0.4518 2.3498
9.0933 3.4635 7.7548
8.5310 0.4323 10.4650
9.7622 3.4830 5.0600
9.9075 0.4711 5.0288
8.6764 3.4442 10.4337
9.3125 0.4573 7.8648
10.5436 3.4580 2.4599